Te4Mo3WSe2S2 | PBE | optimized geometry

Properties
* total moment: 0.01 μB per cell

abc: 3.399 3.399 39.957
angles: 90.00 90.00 120.00
Atoms (fractional coordinates):
Te (0.000, 0.000, 0.000)
Te (0.000, 0.000, 0.094)
Te (0.333, 0.667, 0.810)
Te (0.333, 0.667, 0.904)
Mo (0.000, 0.000, 0.482)
Mo (0.000, 0.000, 0.857)
Mo (0.333, 0.667, 0.670)
W (0.333, 0.667, 0.047)
Se (0.000, 0.000, 0.629)
Se (0.000, 0.000, 0.711)
S (0.333, 0.667, 0.445)
S (0.333, 0.667, 0.520)

ZnAs2C6S12N12O6F12 | PBE | optimized geometry

Properties
* total moment: 0.00 μB per cell

abc: 12.138 12.138 6.863
angles: 90.00 90.00 120.00
Atoms (fractional coordinates):
Zn (0.000, 0.000, 0.000)
As (0.333, 0.667, 0.957)
As (0.667, 0.333, 0.043)
C (0.083, 0.840, 0.743)
C (0.160, 0.243, 0.743)
C (0.243, 0.083, 0.257)
C (0.757, 0.917, 0.743)
C (0.840, 0.757, 0.257)
C (0.917, 0.160, 0.257)
S (0.019, 0.318, 0.156)
S (0.091, 0.692, 0.504)
S (0.300, 0.981, 0.156)
S (0.308, 0.400, 0.504)
S (0.318, 0.300, 0.844)
S (0.400, 0.091, 0.496)
S (0.600, 0.909, 0.504)
S (0.682, 0.700, 0.156)
S (0.692, 0.600, 0.496)
S (0.700, 0.019, 0.844)
S (0.909, 0.308, 0.496)
S (0.981, 0.682, 0.844)
N (0.001, 0.399, 0.329)
N (0.134, 0.832, 0.571)
N (0.168, 0.301, 0.571)
N (0.301, 0.134, 0.429)
N (0.398, 0.999, 0.329)
N (0.399, 0.398, 0.671)
N (0.601, 0.602, 0.329)
N (0.602, 0.001, 0.671)
N (0.699, 0.866, 0.571)
N (0.832, 0.699, 0.429)
N (0.866, 0.168, 0.429)
N (0.999, 0.601, 0.671)
O (0.059, 0.164, 0.826)
O (0.105, 0.941, 0.826)
O (0.164, 0.105, 0.174)
O (0.836, 0.895, 0.826)
O (0.895, 0.059, 0.174)
O (0.941, 0.836, 0.174)
F (0.208, 0.655, 0.106)
F (0.221, 0.541, 0.807)
F (0.320, 0.779, 0.807)
F (0.345, 0.553, 0.106)
F (0.447, 0.792, 0.106)
F (0.459, 0.680, 0.807)
F (0.541, 0.320, 0.193)
F (0.553, 0.208, 0.894)
F (0.655, 0.447, 0.894)
F (0.680, 0.221, 0.193)
F (0.779, 0.459, 0.193)
F (0.792, 0.345, 0.894)

Na5Cu2H14S4O19 | PBE | optimized geometry

Properties
* total moment: 2.81 μB per cell

abc: 15.536 9.633 13.924
angles: 90.00 106.89 90.00
Atoms (fractional coordinates):
Na (0.007, 0.042, 0.383)
Na (0.007, 0.458, 0.883)
Na (0.246, 0.246, 0.917)
Na (0.246, 0.254, 0.417)
Na (0.343, 0.541, 0.325)
Na (0.343, 0.959, 0.825)
Na (0.347, 0.538, 0.071)
Na (0.347, 0.962, 0.571)
Na (0.480, 0.722, 0.745)
Na (0.480, 0.778, 0.245)
Na (0.520, 0.222, 0.755)
Na (0.520, 0.278, 0.255)
Na (0.653, 0.038, 0.429)
Na (0.653, 0.462, 0.929)
Na (0.657, 0.041, 0.175)
Na (0.657, 0.459, 0.675)
Na (0.754, 0.746, 0.583)
Na (0.754, 0.754, 0.083)
Na (0.993, 0.542, 0.117)
Na (0.993, 0.958, 0.617)
Cu (0.330, 0.059, 0.193)
Cu (0.330, 0.441, 0.693)
Cu (0.469, 0.749, 0.991)
Cu (0.469, 0.751, 0.491)
Cu (0.531, 0.249, 0.509)
Cu (0.531, 0.251, 0.009)
Cu (0.670, 0.559, 0.307)
Cu (0.670, 0.941, 0.807)
H (0.034, 0.703, 0.297)
H (0.034, 0.797, 0.797)
H (0.040, 0.235, 0.589)
H (0.040, 0.265, 0.089)
H (0.050, 0.682, 0.560)
H (0.050, 0.818, 0.060)
H (0.053, 0.154, 0.945)
H (0.053, 0.346, 0.445)
H (0.111, 0.139, 0.259)
H (0.111, 0.361, 0.759)
H (0.115, 0.181, 0.687)
H (0.115, 0.319, 0.187)
H (0.117, 0.512, 0.367)
H (0.117, 0.988, 0.867)
H (0.123, 0.710, 0.263)
H (0.123, 0.790, 0.763)
H (0.141, 0.635, 0.045)
H (0.141, 0.865, 0.545)
H (0.159, 0.509, 0.483)
H (0.159, 0.991, 0.983)
H (0.160, 0.027, 0.553)
H (0.160, 0.473, 0.053)
H (0.161, 0.000, 0.297)
H (0.161, 0.500, 0.797)
H (0.256, 0.722, 0.480)
H (0.256, 0.778, 0.980)
H (0.261, 0.700, 0.880)
H (0.261, 0.800, 0.380)
H (0.739, 0.200, 0.620)
H (0.739, 0.300, 0.120)
H (0.744, 0.222, 0.020)
H (0.744, 0.278, 0.520)
H (0.839, 0.000, 0.703)
H (0.839, 0.500, 0.203)
H (0.840, 0.527, 0.947)
H (0.840, 0.973, 0.447)
H (0.841, 0.009, 0.017)
H (0.841, 0.491, 0.517)
H (0.859, 0.135, 0.455)
H (0.859, 0.365, 0.955)
H (0.877, 0.210, 0.237)
H (0.877, 0.290, 0.737)
H (0.883, 0.012, 0.133)
H (0.883, 0.488, 0.633)
H (0.885, 0.681, 0.813)
H (0.885, 0.819, 0.313)
H (0.889, 0.639, 0.241)
H (0.889, 0.861, 0.741)
H (0.947, 0.654, 0.555)
H (0.947, 0.846, 0.055)
H (0.950, 0.182, 0.940)
H (0.950, 0.318, 0.440)
H (0.960, 0.735, 0.911)
H (0.960, 0.765, 0.411)
H (0.966, 0.203, 0.203)
H (0.966, 0.297, 0.703)
S (0.253, 0.652, 0.676)
S (0.253, 0.848, 0.176)
S (0.287, 0.210, 0.679)
S (0.287, 0.290, 0.179)
S (0.414, 0.039, 0.082)
S (0.414, 0.041, 0.360)
S (0.414, 0.459, 0.860)
S (0.414, 0.461, 0.582)
S (0.586, 0.539, 0.418)
S (0.586, 0.541, 0.140)
S (0.586, 0.959, 0.640)
S (0.586, 0.961, 0.918)
S (0.713, 0.710, 0.821)
S (0.713, 0.790, 0.321)
S (0.747, 0.152, 0.824)
S (0.747, 0.348, 0.324)
O (0.011, 0.222, 0.961)
O (0.011, 0.278, 0.461)
O (0.050, 0.204, 0.660)
O (0.050, 0.296, 0.160)
O (0.078, 0.644, 0.276)
O (0.078, 0.856, 0.776)
O (0.111, 0.544, 0.034)
O (0.111, 0.956, 0.534)
O (0.134, 0.082, 0.320)
O (0.134, 0.418, 0.820)
O (0.138, 0.054, 0.925)
O (0.138, 0.446, 0.425)
O (0.185, 0.668, 0.571)
O (0.185, 0.832, 0.071)
O (0.199, 0.659, 0.753)
O (0.199, 0.841, 0.253)
O (0.231, 0.165, 0.747)
O (0.231, 0.335, 0.247)
O (0.238, 0.164, 0.573)
O (0.238, 0.336, 0.073)
O (0.296, 0.731, 0.949)
O (0.296, 0.769, 0.449)
O (0.314, 0.722, 0.193)
O (0.314, 0.778, 0.693)
O (0.363, 0.076, 0.977)
O (0.363, 0.084, 0.431)
O (0.363, 0.416, 0.931)
O (0.363, 0.424, 0.477)
O (0.373, 0.124, 0.711)
O (0.373, 0.376, 0.211)
O (0.443, 0.610, 0.879)
O (0.443, 0.890, 0.379)
O (0.446, 0.611, 0.587)
O (0.446, 0.889, 0.087)
O (0.499, 0.628, 0.115)
O (0.499, 0.630, 0.388)
O (0.499, 0.870, 0.888)
O (0.499, 0.872, 0.615)
O (0.501, 0.128, 0.385)
O (0.501, 0.130, 0.112)
O (0.501, 0.370, 0.612)
O (0.501, 0.372, 0.885)
O (0.554, 0.111, 0.913)
O (0.554, 0.389, 0.413)
O (0.557, 0.110, 0.621)
O (0.557, 0.390, 0.121)
O (0.627, 0.624, 0.789)
O (0.627, 0.876, 0.289)
O (0.637, 0.576, 0.523)
O (0.637, 0.584, 0.069)
O (0.637, 0.916, 0.569)
O (0.637, 0.924, 0.023)
O (0.686, 0.222, 0.307)
O (0.686, 0.278, 0.807)
O (0.704, 0.231, 0.551)
O (0.704, 0.269, 0.051)
O (0.762, 0.664, 0.927)
O (0.762, 0.836, 0.427)
O (0.769, 0.665, 0.753)
O (0.769, 0.835, 0.253)
O (0.801, 0.159, 0.747)
O (0.801, 0.341, 0.247)
O (0.815, 0.168, 0.929)
O (0.815, 0.332, 0.429)
O (0.862, 0.554, 0.575)
O (0.862, 0.946, 0.075)
O (0.866, 0.582, 0.180)
O (0.866, 0.918, 0.680)
O (0.889, 0.044, 0.466)
O (0.889, 0.456, 0.966)
O (0.922, 0.144, 0.224)
O (0.922, 0.356, 0.724)
O (0.950, 0.704, 0.840)
O (0.950, 0.796, 0.340)
O (0.989, 0.722, 0.539)
O (0.989, 0.778, 0.039)

K2H4Pt | PBE | optimized geometry

abc: 5.810 5.810 7.813
angles: 90.00 90.00 90.00
Atoms (fractional coordinates):
K (0.000, 0.500, 0.250)
K (0.000, 0.500, 0.750)
K (0.500, 0.000, 0.250)
K (0.500, 0.000, 0.750)
H (0.203, 0.203, 0.000)
H (0.203, 0.797, 0.000)
H (0.297, 0.297, 0.500)
H (0.297, 0.703, 0.500)
H (0.703, 0.297, 0.500)
H (0.703, 0.703, 0.500)
H (0.797, 0.203, 0.000)
H (0.797, 0.797, 0.000)
Pt (0.000, 0.000, 0.000)
Pt (0.500, 0.500, 0.500)

La3CuGeS7 | PBE | optimized geometry

Properties
* total moment: 0.00 μB per cell

abc: 10.361 10.361 5.923
angles: 90.00 90.00 120.00
Atoms (fractional coordinates):
La (0.127, 0.356, 0.000)
La (0.229, 0.873, 0.000)
La (0.356, 0.229, 0.500)
La (0.644, 0.771, 0.000)
La (0.771, 0.127, 0.500)
La (0.873, 0.644, 0.500)
Cu (0.000, 0.000, 0.471)
Cu (0.000, 0.000, 0.971)
Ge (0.333, 0.667, 0.582)
Ge (0.667, 0.333, 0.082)
S (0.088, 0.249, 0.484)
S (0.106, 0.585, 0.732)
S (0.160, 0.912, 0.484)
S (0.249, 0.160, 0.984)
S (0.333, 0.667, 0.210)
S (0.415, 0.522, 0.732)
S (0.478, 0.894, 0.732)
S (0.522, 0.106, 0.232)
S (0.585, 0.478, 0.232)
S (0.667, 0.333, 0.710)
S (0.751, 0.840, 0.484)
S (0.840, 0.088, 0.984)
S (0.894, 0.415, 0.232)
S (0.912, 0.751, 0.984)

CsRuN2 | PBE | optimized geometry

Properties
* total moment: 0.00 μB per cell

abc: 8.816 10.521 10.547
angles: 79.90 65.32 65.35
Atoms (fractional coordinates):
Cs (0.000, 0.000, 0.000)
Cs (0.043, 0.305, 0.098)
Cs (0.196, 0.201, 0.397)
Cs (0.244, 0.499, 0.501)
Cs (0.397, 0.402, 0.799)
Cs (0.451, 0.702, 0.897)
Cs (0.592, 0.603, 0.202)
Cs (0.647, 0.902, 0.299)
Cs (0.798, 0.804, 0.599)
Cs (0.848, 0.103, 0.702)
Ru (0.097, 0.602, 0.199)
Ru (0.146, 0.902, 0.300)
Ru (0.296, 0.802, 0.600)
Ru (0.346, 0.102, 0.699)
Ru (0.495, 0.003, 0.999)
Ru (0.548, 0.301, 0.100)
Ru (0.697, 0.202, 0.400)
Ru (0.747, 0.503, 0.499)
Ru (0.896, 0.402, 0.799)
Ru (0.946, 0.702, 0.900)
N (0.022, 0.652, 0.049)
N (0.120, 0.752, 0.750)
N (0.121, 0.253, 0.748)
N (0.122, 0.753, 0.248)
N (0.222, 0.851, 0.449)
N (0.320, 0.953, 0.150)
N (0.321, 0.952, 0.649)
N (0.323, 0.452, 0.150)
N (0.421, 0.052, 0.849)
N (0.521, 0.152, 0.050)
N (0.521, 0.152, 0.550)
N (0.522, 0.652, 0.549)
N (0.623, 0.252, 0.249)
N (0.721, 0.852, 0.949)
N (0.723, 0.350, 0.949)
N (0.723, 0.352, 0.449)
N (0.821, 0.454, 0.650)
N (0.921, 0.051, 0.351)
N (0.921, 0.552, 0.851)
N (0.923, 0.552, 0.349)

BaMg2Al6Si9O30 | PBE | optimized geometry

Properties
* total moment: 0.00 μB per cell

abc: 10.259 10.336 14.373
angles: 89.84 89.39 60.28
Atoms (fractional coordinates):
Ba (0.000, 0.000, 0.000)
Ba (0.008, 0.002, 0.500)
Mg (0.346, 0.334, 0.501)
Mg (0.351, 0.326, 0.004)
Mg (0.675, 0.660, 0.003)
Mg (0.676, 0.658, 0.502)
Al (0.012, 0.492, 0.002)
Al (0.013, 0.502, 0.506)
Al (0.118, 0.248, 0.366)
Al (0.253, 0.650, 0.365)
Al (0.361, 0.748, 0.867)
Al (0.506, 0.493, 0.501)
Al (0.506, 0.997, 0.003)
Al (0.515, 0.494, 0.008)
Al (0.515, 0.991, 0.505)
Al (0.656, 0.099, 0.142)
Al (0.658, 0.240, 0.643)
Al (0.662, 0.237, 0.868)
Si (0.111, 0.648, 0.647)
Si (0.112, 0.644, 0.867)
Si (0.115, 0.247, 0.143)
Si (0.251, 0.656, 0.142)
Si (0.257, 0.096, 0.863)
Si (0.258, 0.092, 0.642)
Si (0.351, 0.901, 0.145)
Si (0.357, 0.748, 0.642)
Si (0.360, 0.896, 0.368)
Si (0.655, 0.099, 0.365)
Si (0.762, 0.890, 0.866)
Si (0.762, 0.894, 0.645)
Si (0.767, 0.337, 0.367)
Si (0.768, 0.340, 0.145)
Si (0.904, 0.752, 0.365)
Si (0.907, 0.746, 0.142)
Si (0.911, 0.342, 0.642)
Si (0.911, 0.345, 0.863)
O (0.063, 0.733, 0.397)
O (0.076, 0.716, 0.110)
O (0.084, 0.208, 0.615)
O (0.085, 0.222, 0.891)
O (0.129, 0.606, 0.756)
O (0.132, 0.277, 0.250)
O (0.146, 0.506, 0.583)
O (0.151, 0.498, 0.930)
O (0.152, 0.348, 0.072)
O (0.153, 0.363, 0.437)
O (0.208, 0.722, 0.898)
O (0.215, 0.721, 0.616)
O (0.218, 0.069, 0.115)
O (0.233, 0.062, 0.399)
O (0.274, 0.615, 0.249)
O (0.275, 0.799, 0.115)
O (0.275, 0.939, 0.896)
O (0.283, 0.104, 0.752)
O (0.283, 0.927, 0.612)
O (0.293, 0.789, 0.399)
O (0.362, 0.514, 0.078)
O (0.367, 0.495, 0.430)
O (0.371, 0.129, 0.924)
O (0.372, 0.123, 0.580)
O (0.395, 0.884, 0.254)
O (0.403, 0.723, 0.748)
O (0.497, 0.643, 0.571)
O (0.497, 0.862, 0.078)
O (0.503, 0.137, 0.073)
O (0.509, 0.354, 0.571)
O (0.512, 0.855, 0.429)
O (0.513, 0.636, 0.938)
O (0.516, 0.133, 0.435)
O (0.516, 0.351, 0.943)
O (0.609, 0.263, 0.756)
O (0.610, 0.120, 0.259)
O (0.650, 0.855, 0.930)
O (0.655, 0.485, 0.430)
O (0.655, 0.853, 0.580)
O (0.656, 0.487, 0.084)
O (0.732, 0.882, 0.756)
O (0.733, 0.200, 0.395)
O (0.741, 0.050, 0.608)
O (0.742, 0.376, 0.256)
O (0.748, 0.200, 0.115)
O (0.749, 0.046, 0.900)
O (0.784, 0.927, 0.392)
O (0.797, 0.916, 0.113)
O (0.809, 0.272, 0.611)
O (0.813, 0.270, 0.896)
O (0.870, 0.641, 0.431)
O (0.873, 0.491, 0.928)
O (0.876, 0.488, 0.578)
O (0.877, 0.632, 0.078)
O (0.896, 0.719, 0.254)
O (0.901, 0.383, 0.752)
O (0.935, 0.764, 0.893)
O (0.939, 0.271, 0.397)
O (0.940, 0.775, 0.621)
O (0.943, 0.287, 0.114)

ΔE_f, respectively: -0.5020 -0.8385 -1.5389 -0.4027 -1.8510 -0.0336 -3.3303 eV/atom.